Arrangement w

GeCN2: relaxed, PBE.

Properties
The total magnetization is 0.00 μB per cell.

a b c (Å): 6.346 8.736 5.145
angles (deg): 90.00 90.00 90.00
Fractional coordinates of all 16 atoms:
N 0.185 0.709 0.824
N 0.685 0.791 0.824
N 0.818 0.293 0.801
N 0.682 0.793 0.301
C 0.193 0.705 0.063
Ge 0.377 0.632 0.562
Ge 0.877 0.868 0.562
Ge 0.123 0.132 0.062
Ge 0.623 0.368 0.062
N 0.182 0.707 0.301
N 0.318 0.207 0.801
C 0.693 0.795 0.063
N 0.315 0.209 0.324
C 0.807 0.295 0.563
N 0.815 0.291 0.324
C 0.307 0.205 0.563

***

Arrangement x

GeCN2: relaxed, PBE.

Properties
The total magnetization is 0.00 μB per cell.

a b c (Å): 3.588 5.340 14.766
angles (deg): 22.82 90.00 70.37
Fractional coordinates of all 4 atoms:
C 0.000 0.000 0.500
N 0.000 0.000 0.584
N 0.000 0.000 0.416
Ge 0.000 0.000 0.000

***

We find arrangement w to be the most stable, with the next structure 0.032 eV/atom higher.

***

Arrangement w

Na3GePCO7: relaxed, PBE.

Properties
The total magnetization is 0.00 μB per cell. As for the piezoelectric modulus e_max: 0.46 C/m2.

a b c (Å): 6.884 5.487 9.259
angles (deg): 84.56 90.00 90.00
Fractional coordinates of all 26 atoms:
O 0.780 0.544 0.718
P 0.250 0.986 0.670
O 0.269 0.188 0.537
C 0.768 0.514 0.863
O 0.853 0.919 0.200
O 0.744 0.712 0.928
Na 0.316 0.485 0.842
O 0.778 0.304 0.933
Ge 0.754 0.919 0.673
Na 0.029 0.001 0.985
O 0.278 0.696 0.067
O 0.323 0.738 0.626
Na 0.529 0.999 0.015
O 0.280 0.456 0.282
O 0.029 0.954 0.715
O 0.769 0.812 0.463
O 0.244 0.288 0.072
P 0.750 0.014 0.330
O 0.353 0.081 0.800
Na 0.032 0.515 0.500
C 0.268 0.486 0.137
Na 0.532 0.485 0.500
O 0.823 0.262 0.374
O 0.529 0.046 0.285
Ge 0.254 0.081 0.327
Na 0.816 0.515 0.158

***

Arrangement x

Na3GePCO7: relaxed, PBE.

Properties
The total magnetization is 0.00 μB per cell.

a b c (Å): 7.068 5.153 9.244
angles (deg): 88.85 90.00 90.00
Fractional coordinates of all 26 atoms:
C 0.250 0.270 0.055
O 0.426 0.803 0.681
Na 0.001 0.250 0.743
O 0.750 0.185 0.565
P 0.250 0.708 0.596
O 0.250 0.485 0.126
Na 0.499 0.250 0.743
O 0.250 0.273 0.915
O 0.250 0.046 0.126
Na 0.750 0.234 0.084
O 0.750 0.594 0.407
O 0.250 0.406 0.593
O 0.926 0.197 0.319
O 0.074 0.803 0.681
O 0.250 0.815 0.435
P 0.750 0.292 0.404
Ge 0.750 0.779 0.637
Na 0.250 0.766 0.916
O 0.750 0.727 0.085
O 0.574 0.197 0.319
Ge 0.250 0.221 0.363
C 0.750 0.730 0.945
Na 0.501 0.750 0.257
O 0.750 0.954 0.874
Na 0.999 0.750 0.257
O 0.750 0.515 0.874

***

We find arrangement w to be the most stable, with the next structure 0.016 eV/atom higher.

***

Arrangement w

H6RuCI3N: relaxed, PBE.

Properties
The total magnetization is 8.10 μB per cell.

a b c (Å): 8.299 8.258 11.665
angles (deg): 89.88 90.11 89.45
Fractional coordinates of all 48 atoms:
Ru 0.997 0.008 0.487
I 0.499 0.502 0.243
I 0.741 0.257 0.989
Ru 0.500 0.475 0.485
Ru 0.498 0.497 0.986
I 0.002 0.002 0.229
N 0.499 0.999 0.148
H 0.121 0.477 0.306
H 0.913 0.421 0.808
I 0.502 0.484 0.730
H 0.583 0.077 0.113
C 0.003 0.504 0.775
H 0.123 0.467 0.803
I 0.759 0.763 0.486
I 0.257 0.259 0.986
H 0.894 0.539 0.112
Ru 0.000 0.013 0.986
H 0.036 0.394 0.115
C 0.001 0.506 0.274
C 0.501 0.004 0.275
C 0.498 0.001 0.775
I 0.237 0.761 0.487
H 0.889 0.541 0.615
I 0.239 0.243 0.482
H 0.084 0.578 0.612
H 0.609 0.057 0.805
I 0.997 0.009 0.743
H 0.394 0.072 0.804
H 0.964 0.626 0.304
H 0.594 0.929 0.616
H 0.087 0.588 0.115
N 0.499 0.997 0.648
H 0.022 0.387 0.615
H 0.507 0.112 0.613
H 0.395 0.945 0.615
H 0.527 0.885 0.117
H 0.413 0.919 0.308
H 0.389 0.033 0.115
H 0.622 0.970 0.305
N 0.004 0.506 0.148
I 0.257 0.742 0.980
H 0.490 0.877 0.807
I 0.755 0.244 0.481
H 0.915 0.415 0.304
I 0.736 0.737 0.982
H 0.472 0.127 0.302
N 0.999 0.501 0.648
H 0.976 0.627 0.804

***

Arrangement x

H6RuCI3N: relaxed, PBE.

Properties
The total magnetization is 4.00 μB per cell.

a b c (Å): 7.684 7.696 13.736
angles (deg): 89.98 89.37 89.85
Fractional coordinates of all 48 atoms:
H 0.044 0.614 0.699
I 0.485 0.478 0.251
H 0.394 0.951 0.372
H 0.089 0.388 0.721
I 0.250 0.264 0.520
I 0.242 0.756 0.033
H 0.497 0.844 0.851
H 0.089 0.430 0.193
Ru 0.996 0.009 0.488
I 0.755 0.762 0.033
H 0.013 0.646 0.216
H 0.507 0.859 0.213
H 0.924 0.553 0.380
H 0.951 0.424 0.882
N 0.995 0.530 0.842
I 0.003 0.019 0.289
H 0.362 0.982 0.709
C 0.503 0.997 0.233
H 0.869 0.463 0.712
Ru 0.493 0.498 0.447
I 0.248 0.235 0.019
I 0.263 0.754 0.509
H 0.913 0.632 0.861
H 0.386 0.057 0.204
I 0.730 0.254 0.517
I 0.766 0.246 0.020
H 0.417 0.041 0.880
N 0.500 0.013 0.340
H 0.118 0.560 0.869
H 0.496 0.141 0.363
Ru 0.001 0.005 0.091
H 0.609 0.957 0.372
I 0.987 0.996 0.692
I 0.498 0.511 0.849
I 0.755 0.732 0.502
H 0.862 0.471 0.211
H 0.995 0.351 0.356
C 0.494 0.016 0.732
C 0.000 0.496 0.736
H 0.619 0.063 0.204
H 0.591 0.940 0.692
C 0.993 0.509 0.232
H 0.135 0.514 0.362
N 0.510 0.977 0.838
H 0.517 0.154 0.721
N 0.013 0.481 0.338
Ru 0.499 0.495 0.053
H 0.629 0.013 0.865

***

We find arrangement x to be the most stable, with the next structure 0.027 eV/atom higher.